(a)
Compound: NiP2O7
Source: the Materials Project
Functional: GGA+U
Structure: relaxed

Summary:
* total moment: 0.79 Bohr magnetons per cell
* space-group type: P-1, No. 2
* crystal system: triclinic

a = 6.3761 Å, b = 6.6128 Å, c = 6.9757 Å
α = 89.43°, β = 113.52°, γ = 94.06°
Positions (direct):
1 Ni 0.0954 0.3587 0.2033
2 Ni 0.9046 0.6413 0.7967
3 P 0.3352 0.6098 0.6451
4 P 0.6648 0.3902 0.3549
5 P 0.2134 0.8554 0.2495
6 P 0.7866 0.1446 0.7505
7 O 0.4118 0.3884 0.2058
8 O 0.5827 0.0981 0.8131
9 O 0.4173 0.9019 0.1869
10 O 0.9043 0.9498 0.7701
11 O 0.3069 0.7988 0.4922
12 O 0.2155 0.6509 0.7901
13 O 0.0609 0.6702 0.1261
14 O 0.5882 0.6116 0.7942
15 O 0.6931 0.2012 0.5078
16 O 0.2423 0.4165 0.5126
17 O 0.0957 0.0502 0.2299
18 O 0.9391 0.3298 0.8739
19 O 0.7845 0.3491 0.2099
20 O 0.7577 0.5835 0.4874

(b)
Compound: NiP2O7
Source: the Materials Project
Functional: GGA+U
Structure: relaxed

Summary:
* total moment: 16.00 Bohr magnetons per cell
* space-group type: C2/c, No. 15
* crystal system: monoclinic

a = 6.4938 Å, b = 6.4942 Å, c = 13.3556 Å
α = 78.80°, β = 77.72°, γ = 99.38°
Positions (direct):
1 Ni 0.7362 0.8727 0.8552
2 Ni 0.7724 0.4088 0.3552
3 Ni 0.2276 0.5912 0.6448
4 Ni 0.2638 0.1273 0.1448
5 P 0.2219 0.7442 0.8681
6 P 0.7781 0.2558 0.1319
7 P 0.8875 0.9100 0.3681
8 P 0.7629 0.5868 0.5712
9 P 0.3421 0.6657 0.0713
10 P 0.2371 0.4132 0.4288
11 P 0.1125 0.0900 0.6319
12 P 0.6579 0.3343 0.9287
13 O 0.7832 0.3887 0.0157
14 O 0.7597 0.1769 0.8756
15 O 0.9039 0.5303 0.6457
16 O 0.8786 0.9924 0.6963
17 O 0.2403 0.8231 0.1244
18 O 0.0961 0.4697 0.3543
19 O 0.1214 0.0076 0.3037
20 O 0.0352 0.8572 0.8784
21 O 0.0956 0.2010 0.5157
22 O 0.3239 0.4502 0.1457
23 O 0.2356 0.9134 0.6216
24 O 0.2856 0.5948 0.4849
25 O 0.1886 0.5748 0.8037
26 O 0.2114 0.2658 0.6792
27 O 0.5797 0.7704 0.0152
28 O 0.2168 0.6113 0.9843
29 O 0.4476 0.3646 0.3756
30 O 0.9044 0.7990 0.4843
31 O 0.4451 0.8904 0.8208
32 O 0.5524 0.6354 0.6244
33 O 0.9648 0.1428 0.1216
34 O 0.4203 0.2296 0.9848
35 O 0.7886 0.7342 0.3208
36 O 0.8114 0.4252 0.1963
37 O 0.7144 0.4052 0.5151
38 O 0.7644 0.0866 0.3784
39 O 0.6761 0.5498 0.8543
40 O 0.5549 0.1096 0.1792

Stability check: which of them is least stable? (a).

(a)
Compound: NiP2O7
Source: the Materials Project
Functional: GGA+U
Structure: relaxed

Summary:
* total moment: 16.00 Bohr magnetons per cell
* space-group type: P2_1/c, No. 14
* crystal system: monoclinic

a = 8.4025 Å, b = 7.3340 Å, c = 9.2872 Å
α = 64.73°, β = 90.00°, γ = 90.00°
Positions (direct):
1 Ni 0.5832 0.7700 0.1088
2 Ni 0.0832 0.2300 0.3912
3 Ni 0.4168 0.2300 0.8912
4 Ni 0.9168 0.7700 0.6088
5 P 0.7816 0.0670 0.2507
6 P 0.7638 0.4582 0.9672
7 P 0.7184 0.0670 0.7507
8 P 0.2362 0.5418 0.0328
9 P 0.2816 0.9330 0.2493
10 P 0.7362 0.4582 0.4672
11 P 0.2638 0.5418 0.5328
12 P 0.2184 0.9330 0.7493
13 O 0.6102 0.5322 0.3354
14 O 0.2477 0.0939 0.3079
15 O 0.8498 0.2638 0.1049
16 O 0.3898 0.4678 0.6646
17 O 0.7477 0.9061 0.1921
18 O 0.7688 0.6081 0.5372
19 O 0.3914 0.6076 0.0824
20 O 0.1102 0.4678 0.1646
21 O 0.3498 0.7362 0.3951
22 O 0.3800 0.8937 0.6885
23 O 0.2312 0.3919 0.4628
24 O 0.4140 0.9808 0.1229
25 O 0.1086 0.6076 0.5824
26 O 0.6200 0.1063 0.3115
27 O 0.1502 0.7362 0.8951
28 O 0.6086 0.3924 0.9176
29 O 0.2688 0.3919 0.9628
30 O 0.5860 0.0192 0.8771
31 O 0.9140 0.0192 0.3771
32 O 0.8914 0.3924 0.4176
33 O 0.7523 0.9061 0.6921
34 O 0.8898 0.5322 0.8354
35 O 0.0860 0.9808 0.6229
36 O 0.2523 0.0939 0.8079
37 O 0.6502 0.2638 0.6049
38 O 0.8800 0.1063 0.8115
39 O 0.7312 0.6081 0.0372
40 O 0.1200 0.8937 0.1885

(b)
Compound: NiP2O7
Source: the Materials Project
Functional: GGA+U
Structure: relaxed

Summary:
* total moment: 8.00 Bohr magnetons per cell
* space-group type: P1, No. 1
* crystal system: triclinic

a = 6.1735 Å, b = 10.5831 Å, c = 9.0159 Å
α = 63.50°, β = 106.28°, γ = 94.85°
Positions (direct):
1 Ni 0.3772 0.2543 0.5031
2 Ni 0.7051 0.7788 0.0970
3 Ni 0.2955 0.2252 0.8939
4 Ni 0.6210 0.7515 0.4868
5 P 0.0910 0.2182 0.1824
6 P 0.9089 0.7867 0.8071
7 P 0.2957 0.9701 0.8072
8 P 0.8985 0.2995 0.5557
9 P 0.5838 0.5388 0.2979
10 P 0.1001 0.7054 0.4350
11 P 0.7051 0.0345 0.1831
12 P 0.4150 0.4661 0.6935
13 O 0.1516 0.1576 0.0688
14 O 0.0351 0.6489 0.8882
15 O 0.9363 0.0841 0.2719
16 O 0.0023 0.2826 0.7393
17 O 0.6889 0.2141 0.5329
18 O 0.1956 0.5422 0.5416
19 O 0.0594 0.2725 0.4694
20 O 0.8511 0.8454 0.9234
21 O 0.5941 0.9429 0.3261
22 O 0.8019 0.4627 0.4513
23 O 0.2537 0.0399 0.9143
24 O 0.4383 0.3148 0.6983
25 O 0.9386 0.7344 0.5194
26 O 0.7495 0.9636 0.0778
27 O 0.9969 0.7197 0.2524
28 O 0.4289 0.8267 0.9275
29 O 0.5727 0.1780 0.0617
30 O 0.3157 0.1931 0.3260
31 O 0.3093 0.7913 0.4565
32 O 0.5605 0.6906 0.2917
33 O 0.3822 0.4484 0.3330
34 O 0.6388 0.5883 0.1242
35 O 0.9642 0.3560 0.0988
36 O 0.0638 0.9210 0.7185
37 O 0.6836 0.8129 0.6639
38 O 0.3609 0.4154 0.8677
39 O 0.4045 0.0627 0.6633
40 O 0.6156 0.5572 0.6576

Stability check: which of them is least stable? (b).

(a)
Compound: NiP2O7
Source: the Materials Project
Functional: GGA+U
Structure: relaxed

Summary:
* total moment: 16.00 Bohr magnetons per cell
* space-group type: P2_1/c, No. 14
* crystal system: monoclinic

a = 8.2923 Å, b = 6.9970 Å, c = 9.7107 Å
α = 72.42°, β = 90.00°, γ = 90.00°
Positions (direct):
1 Ni 0.2296 0.2766 0.0059
2 Ni 0.7704 0.7234 0.9941
3 Ni 0.7296 0.7234 0.4941
4 Ni 0.2704 0.2766 0.5059
5 P 0.0331 0.0613 0.7919
6 P 0.5814 0.4600 0.2918
7 P 0.5331 0.9387 0.7081
8 P 0.9186 0.4600 0.7918
9 P 0.4186 0.5400 0.7082
10 P 0.9669 0.9387 0.2081
11 P 0.4669 0.0613 0.2919
12 P 0.0814 0.5400 0.2082
13 O 0.8939 0.9024 0.3570
14 O 0.8257 0.9285 0.1068
15 O 0.1061 0.0976 0.6430
16 O 0.2791 0.5010 0.6152
17 O 0.0538 0.1367 0.1486
18 O 0.6061 0.9024 0.8570
19 O 0.4462 0.1367 0.6486
20 O 0.3257 0.0715 0.3932
21 O 0.6001 0.2322 0.2869
22 O 0.4218 0.4710 0.3669
23 O 0.4057 0.3988 0.8603
24 O 0.2209 0.5010 0.1152
25 O 0.5943 0.6012 0.1397
26 O 0.5538 0.8633 0.3514
27 O 0.7791 0.4990 0.8848
28 O 0.0782 0.4710 0.8669
29 O 0.0943 0.3988 0.3603
30 O 0.8999 0.2322 0.7869
31 O 0.1001 0.7678 0.2131
32 O 0.9218 0.5290 0.1331
33 O 0.9462 0.8633 0.8514
34 O 0.3999 0.7678 0.7131
35 O 0.3939 0.0976 0.1430
36 O 0.5782 0.5290 0.6331
37 O 0.6743 0.9285 0.6068
38 O 0.9057 0.6012 0.6397
39 O 0.7209 0.4990 0.3848
40 O 0.1743 0.0715 0.8932

(b)
Compound: NiP2O7
Source: the Materials Project
Functional: GGA+U
Structure: relaxed

Summary:
* total moment: 0.00 Bohr magnetons per cell
* space-group type: P2_1, No. 4
* crystal system: monoclinic

a = 8.1244 Å, b = 4.9391 Å, c = 7.0775 Å
α = 73.06°, β = 90.00°, γ = 90.00°
Positions (direct):
1 Ni 0.5057 0.7847 0.7253
2 Ni 0.0057 0.2153 0.2747
3 P 0.6838 0.3913 0.4842
4 P 0.1838 0.6087 0.5158
5 P 0.7749 0.7735 0.0995
6 P 0.2749 0.2265 0.9005
7 O 0.3585 0.7285 0.5077
8 O 0.3210 0.9666 0.8366
9 O 0.8210 0.0334 0.1634
10 O 0.1798 0.1334 0.0930
11 O 0.9261 0.5943 0.0862
12 O 0.6480 0.5861 0.2620
13 O 0.1804 0.4230 0.3765
14 O 0.8585 0.2715 0.4923
15 O 0.4261 0.4057 0.9138
16 O 0.0514 0.8351 0.4748
17 O 0.6798 0.8666 0.9070
18 O 0.6804 0.5770 0.6235
19 O 0.1480 0.4139 0.7380
20 O 0.5514 0.1649 0.5252

(c)
Compound: NiP2O7
Source: the Materials Project
Functional: GGA+U
Structure: relaxed

Summary:
* total moment: 1.72 Bohr magnetons per cell
* space-group type: C2, No. 5
* crystal system: monoclinic

a = 5.2946 Å, b = 5.2946 Å, c = 4.6195 Å
α = 82.03°, β = 97.97°, γ = 78.90°
Positions (direct):
1 Ni 0.1160 0.1160 0.0000
2 P 0.2607 0.6646 0.5875
3 P 0.6646 0.2607 0.4125
4 O 0.8103 0.0812 0.6993
5 O 0.1379 0.4561 0.7391
6 O 0.8485 0.3370 0.2028
7 O 0.3370 0.8485 0.7972
8 O 0.5322 0.5322 0.5000
9 O 0.0812 0.8103 0.3007
10 O 0.4561 0.1379 0.2609

(d)
Compound: NiP2O7
Source: the Materials Project
Functional: GGA+U
Structure: relaxed

Summary:
* total moment: 0.00 Bohr magnetons per cell
* space-group type: P-1, No. 2
* crystal system: triclinic

a = 5.0920 Å, b = 6.8170 Å, c = 8.3932 Å
α = 68.00°, β = 87.33°, γ = 87.76°
Positions (direct):
1 Ni 0.7533 0.7901 0.2718
2 Ni 0.2467 0.2099 0.7282
3 P 0.2825 0.4534 0.3070
4 P 0.7542 0.8897 0.8281
5 P 0.7175 0.5466 0.6930
6 P 0.2458 0.1103 0.1719
7 O 0.5641 0.5155 0.3181
8 O 0.5664 0.0418 0.7038
9 O 0.2944 0.1229 0.9871
10 O 0.9541 0.0663 0.2190
11 O 0.7080 0.6537 0.8359
12 O 0.1051 0.6493 0.2325
13 O 0.4359 0.4845 0.6819
14 O 0.1761 0.2906 0.4747
15 O 0.0459 0.9337 0.7810
16 O 0.7056 0.8771 0.0129
17 O 0.8239 0.7094 0.5253
18 O 0.4336 0.9582 0.2962
19 O 0.2920 0.3463 0.1641
20 O 0.8949 0.3507 0.7675

Stability check: which of them is least stable? (d).

(a)
Compound: Ni2P2O7
Source: the Materials Project
Functional: GGA+U
Structure: relaxed

a = 5.2846 Å, b = 5.2846 Å, c = 9.0329 Å
α = 98.01°, β = 98.01°, γ = 104.17°
Positions (direct):
1 Ni 0.3136 0.6864 0.7500
2 Ni 0.6864 0.3136 0.2500
3 Ni 0.3136 0.6864 0.2500
4 Ni 0.6864 0.3136 0.7500
5 P 0.2197 0.2197 0.4536
6 P 0.2197 0.2197 0.9536
7 P 0.7803 0.7803 0.0464
8 P 0.7803 0.7803 0.5464
9 O 0.0000 0.0000 0.5000
10 O 0.0000 0.0000 0.0000
11 O 0.3798 0.3798 0.1081
12 O 0.3798 0.3798 0.6081
13 O 0.6202 0.6202 0.3919
14 O 0.6202 0.6202 0.8919
15 O 0.9256 0.6181 0.1385
16 O 0.9256 0.6181 0.6385
17 O 0.3819 0.0744 0.3615
18 O 0.3819 0.0744 0.8615
19 O 0.0744 0.3819 0.3615
20 O 0.0744 0.3819 0.8615
21 O 0.6181 0.9256 0.1385
22 O 0.6181 0.9256 0.6385

(b)
Compound: Ni2P2O7
Source: the Materials Project
Functional: GGA+U
Structure: relaxed

Summary:
* space-group type: P2_1/c, No. 14
* crystal system: monoclinic

a = 8.3204 Å, b = 6.9884 Å, c = 9.0396 Å
α = 66.22°, β = 90.00°, γ = 90.00°
Positions (direct):
1 Ni 0.4426 0.3050 0.8207
2 Ni 0.5574 0.6950 0.1793
3 Ni 0.9426 0.6950 0.6793
4 Ni 0.0574 0.3050 0.3207
5 Ni 0.5756 0.7691 0.6093
6 Ni 0.4244 0.2309 0.3907
7 Ni 0.0756 0.2309 0.8907
8 Ni 0.9244 0.7691 0.1093
9 P 0.7706 0.0593 0.7571
10 P 0.2294 0.9407 0.2429
11 P 0.2706 0.9407 0.7429
12 P 0.7294 0.0593 0.2571
13 P 0.2250 0.5287 0.5340
14 P 0.7750 0.4713 0.4660
15 P 0.7250 0.4713 0.9660
16 P 0.2750 0.5287 0.0340
17 O 0.1671 0.7499 0.4041
18 O 0.8329 0.2501 0.5959
19 O 0.6671 0.2501 0.0959
20 O 0.3329 0.7499 0.9041
21 O 0.7668 0.6231 0.5501
22 O 0.2332 0.3769 0.4499
23 O 0.2668 0.3769 0.9499
24 O 0.7332 0.6231 0.0501
25 O 0.2619 0.1219 0.7977
26 O 0.7381 0.8781 0.2023
27 O 0.7619 0.8781 0.7023
28 O 0.2381 0.1219 0.2977
29 O 0.3895 0.5504 0.6023
30 O 0.6105 0.4496 0.3977
31 O 0.8895 0.4496 0.8977
32 O 0.1105 0.5504 0.1023
33 O 0.9066 0.0225 0.8801
34 O 0.0934 0.9775 0.1199
35 O 0.4066 0.9775 0.6199
36 O 0.5934 0.0225 0.3801
37 O 0.0888 0.4770 0.6587
38 O 0.9112 0.5230 0.3413
39 O 0.5888 0.5230 0.8413
40 O 0.4112 0.4770 0.1587
41 O 0.6120 0.1148 0.8092
42 O 0.3880 0.8852 0.1908
43 O 0.1120 0.8852 0.6908
44 O 0.8880 0.1148 0.3092

Stability check: which of them is least stable? (a).